Entry 1:
A relaxed structure of Na4Nb2Si5Sn2SO24, computed with PBE.

formation energy: -2.70 eV/atom
space group: No. 1

abc: 8.981 8.982 22.733
angles: 90.08 90.05 119.97
Positions (direct):
Na 0.000 0.000 0.000
Na 0.001 0.999 0.502
Na 0.041 0.346 0.082
Na 0.048 0.710 0.587
Na 0.309 0.341 0.586
Na 0.335 0.686 0.165
Na 0.347 0.678 0.673
Na 0.645 0.013 0.252
Na 0.667 0.338 0.832
Na 0.671 0.349 0.333
Na 0.981 0.319 0.416
Na 0.990 0.678 0.916
Nb 0.024 0.011 0.855
Nb 0.031 0.024 0.356
Nb 0.350 0.684 0.520
Nb 0.677 0.341 0.479
Nb 0.679 0.354 0.688
Nb 0.692 0.345 0.977
Si 0.021 0.722 0.749
Si 0.022 0.305 0.248
Si 0.054 0.679 0.417
Si 0.065 0.386 0.919
Si 0.304 0.306 0.748
Si 0.307 0.013 0.247
Si 0.355 0.968 0.915
Si 0.358 0.400 0.416
Si 0.396 0.055 0.585
Si 0.633 0.677 0.916
Si 0.636 0.964 0.413
Si 0.676 0.044 0.085
Si 0.682 0.637 0.583
Si 0.965 0.338 0.583
Si 0.974 0.638 0.084
Sn 0.016 0.007 0.145
Sn 0.018 0.013 0.647
Sn 0.333 0.674 0.314
Sn 0.341 0.671 0.815
Sn 0.349 0.689 0.017
Sn 0.686 0.335 0.186
S 0.395 0.347 0.084
S 0.724 0.719 0.250
S 0.725 0.011 0.749
O 0.031 0.192 0.907
O 0.035 0.849 0.409
O 0.038 0.214 0.188
O 0.039 0.826 0.688
O 0.126 0.623 0.361
O 0.133 0.517 0.863
O 0.156 0.514 0.577
O 0.157 0.640 0.079
O 0.171 0.458 0.980
O 0.174 0.708 0.476
O 0.178 0.209 0.409
O 0.181 0.989 0.906
O 0.186 0.974 0.190
O 0.193 0.706 0.753
O 0.194 0.493 0.252
O 0.197 0.178 0.803
O 0.198 0.229 0.687
O 0.204 0.029 0.306
O 0.205 0.036 0.586
O 0.220 0.189 0.085
O 0.289 0.841 0.971
O 0.314 0.478 0.474
O 0.334 0.499 0.754
O 0.344 0.852 0.254
O 0.370 0.497 0.080
O 0.370 0.862 0.578
O 0.388 0.512 0.358
O 0.394 0.892 0.856
O 0.480 0.328 0.031
O 0.488 0.178 0.528
O 0.492 0.312 0.744
O 0.494 0.367 0.138
O 0.495 0.192 0.246
O 0.504 0.643 0.576
O 0.511 0.853 0.079
O 0.516 0.151 0.642
O 0.516 0.162 0.927
O 0.517 0.365 0.424
O 0.518 0.637 0.857
O 0.527 0.888 0.353
O 0.537 0.840 0.470
O 0.551 0.858 0.753
O 0.553 0.706 0.255
O 0.557 0.716 0.975
O 0.644 0.119 0.146
O 0.645 0.511 0.641
O 0.666 0.158 0.424
O 0.666 0.512 0.926
O 0.702 0.179 0.030
O 0.706 0.546 0.245
O 0.712 0.170 0.745
O 0.713 0.540 0.527
O 0.798 0.825 0.196
O 0.801 0.986 0.695
O 0.830 0.032 0.802
O 0.831 0.802 0.303
O 0.831 0.992 0.409
O 0.832 0.842 0.907
O 0.841 0.313 0.249
O 0.845 0.529 0.743
O 0.855 0.316 0.523
O 0.855 0.822 0.588
O 0.856 0.542 0.025
O 0.864 0.050 0.086
O 0.866 0.507 0.426
O 0.871 0.366 0.925
O 0.873 0.376 0.639
O 0.883 0.515 0.141
O 0.990 0.814 0.806
O 0.990 0.827 0.086
O 0.991 0.178 0.306
O 0.994 0.174 0.587

=====

Entry 2:
A relaxed structure of NaNbSi2SnSO12, computed with PBE.

formation energy: -2.58 eV/atom

abc: 8.883 8.884 22.925
angles: 90.86 90.00 120.00
Positions (direct):
Na 0.023 0.011 0.497
Na 0.988 0.011 0.997
Na 0.690 0.344 0.830
Na 0.654 0.344 0.330
Na 0.356 0.677 0.163
Na 0.321 0.677 0.663
Nb 0.996 0.993 0.644
Nb 0.997 0.993 0.144
Nb 0.662 0.326 0.977
Nb 0.664 0.326 0.477
Nb 0.329 0.659 0.310
Nb 0.330 0.659 0.810
Si 0.293 0.999 0.250
Si 0.715 0.710 0.250
Si 0.995 0.710 0.750
Si 0.707 0.999 0.750
Si 0.959 0.333 0.584
Si 0.382 0.043 0.584
Si 0.662 0.043 0.084
Si 0.373 0.333 0.084
Si 0.626 0.666 0.917
Si 0.048 0.377 0.917
Si 0.328 0.377 0.417
Si 0.040 0.666 0.417
Sn 0.013 0.993 0.354
Sn 0.980 0.993 0.854
Sn 0.680 0.327 0.687
Sn 0.647 0.327 0.187
Sn 0.346 0.660 0.021
Sn 0.314 0.660 0.521
S 0.997 0.285 0.249
S 0.288 0.285 0.749
S 0.663 0.618 0.583
S 0.955 0.618 0.083
S 0.330 0.952 0.916
S 0.622 0.952 0.416
O 0.220 0.046 0.308
O 0.821 0.803 0.309
O 0.971 0.185 0.303
O 0.214 0.185 0.803
O 0.982 0.803 0.809
O 0.826 0.046 0.808
O 0.810 0.978 0.693
O 0.180 0.201 0.697
O 0.025 0.832 0.693
O 0.807 0.832 0.193
O 0.021 0.201 0.197
O 0.169 0.978 0.193
O 0.886 0.380 0.642
O 0.488 0.136 0.643
O 0.638 0.518 0.636
O 0.881 0.518 0.136
O 0.649 0.136 0.143
O 0.493 0.380 0.142
O 0.476 0.312 0.026
O 0.847 0.534 0.030
O 0.691 0.165 0.026
O 0.474 0.165 0.526
O 0.688 0.534 0.530
O 0.835 0.312 0.526
O 0.553 0.713 0.975
O 0.154 0.470 0.976
O 0.304 0.852 0.969
O 0.547 0.852 0.469
O 0.315 0.470 0.476
O 0.160 0.713 0.475
O 0.143 0.645 0.360
O 0.514 0.868 0.363
O 0.358 0.499 0.359
O 0.141 0.499 0.859
O 0.354 0.868 0.863
O 0.502 0.645 0.860
O 0.003 0.827 0.414
O 0.799 0.984 0.410
O 0.149 0.191 0.411
O 0.042 0.191 0.911
O 0.184 0.984 0.910
O 0.824 0.827 0.914
O 0.966 0.150 0.590
O 0.185 0.019 0.591
O 0.828 0.792 0.587
O 0.964 0.792 0.087
O 0.834 0.019 0.091
O 0.185 0.150 0.090
O 0.670 0.161 0.747
O 0.466 0.317 0.743
O 0.815 0.524 0.744
O 0.709 0.524 0.244
O 0.851 0.317 0.243
O 0.491 0.161 0.247
O 0.632 0.484 0.924
O 0.851 0.352 0.924
O 0.495 0.125 0.920
O 0.630 0.125 0.420
O 0.501 0.352 0.424
O 0.852 0.484 0.424
O 0.336 0.494 0.080
O 0.133 0.651 0.076
O 0.482 0.858 0.078
O 0.376 0.858 0.578
O 0.518 0.651 0.576
O 0.158 0.494 0.580
O 0.299 0.817 0.257
O 0.518 0.685 0.258
O 0.162 0.459 0.254
O 0.297 0.459 0.754
O 0.168 0.685 0.758
O 0.518 0.817 0.757

=====

Entry 3:
A relaxed structure of NaTiNbSi2SO12, computed with PBE.

formation energy: -2.85 eV/atom

abc: 8.855 8.809 22.805
angles: 90.77 90.00 120.17
Positions (direct):
Na 0.007 0.006 0.498
Na 0.999 0.006 0.998
Na 0.674 0.339 0.831
Na 0.665 0.339 0.331
Na 0.341 0.673 0.164
Na 0.332 0.673 0.664
Ti 0.017 0.988 0.354
Ti 0.971 0.988 0.854
Ti 0.684 0.321 0.688
Ti 0.637 0.321 0.188
Ti 0.351 0.654 0.021
Ti 0.304 0.654 0.521
Nb 0.000 0.994 0.645
Nb 0.994 0.994 0.145
Nb 0.667 0.327 0.978
Nb 0.660 0.327 0.478
Nb 0.333 0.660 0.312
Nb 0.327 0.660 0.812
Si 0.289 0.998 0.250
Si 0.716 0.708 0.251
Si 0.993 0.708 0.751
Si 0.710 0.998 0.750
Si 0.955 0.332 0.583
Si 0.382 0.042 0.585
Si 0.659 0.042 0.085
Si 0.376 0.332 0.083
Si 0.622 0.665 0.916
Si 0.049 0.375 0.918
Si 0.326 0.375 0.418
Si 0.043 0.665 0.416
S 0.994 0.285 0.251
S 0.290 0.285 0.751
S 0.661 0.618 0.584
S 0.957 0.618 0.084
S 0.328 0.951 0.918
S 0.624 0.951 0.418
O 0.200 0.033 0.308
O 0.837 0.813 0.308
O 0.972 0.181 0.303
O 0.210 0.181 0.803
O 0.976 0.813 0.808
O 0.833 0.033 0.808
O 0.807 0.971 0.693
O 0.179 0.209 0.697
O 0.031 0.834 0.693
O 0.803 0.834 0.193
O 0.030 0.209 0.197
O 0.165 0.971 0.193
O 0.867 0.367 0.641
O 0.504 0.146 0.641
O 0.638 0.515 0.637
O 0.876 0.515 0.137
O 0.642 0.146 0.141
O 0.500 0.367 0.141
O 0.473 0.305 0.026
O 0.846 0.542 0.030
O 0.697 0.167 0.027
O 0.470 0.167 0.527
O 0.697 0.542 0.530
O 0.831 0.305 0.526
O 0.534 0.700 0.974
O 0.170 0.479 0.975
O 0.305 0.848 0.970
O 0.543 0.848 0.470
O 0.309 0.479 0.475
O 0.167 0.700 0.474
O 0.140 0.638 0.359
O 0.512 0.876 0.363
O 0.364 0.501 0.360
O 0.137 0.501 0.860
O 0.363 0.876 0.863
O 0.498 0.638 0.859
O 0.022 0.838 0.410
O 0.799 0.977 0.410
O 0.152 0.185 0.408
O 0.033 0.185 0.908
O 0.179 0.977 0.910
O 0.816 0.838 0.910
O 0.976 0.159 0.592
O 0.188 0.023 0.592
O 0.826 0.797 0.589
O 0.971 0.797 0.089
O 0.835 0.023 0.092
O 0.184 0.159 0.092
O 0.689 0.171 0.744
O 0.465 0.311 0.743
O 0.819 0.518 0.741
O 0.700 0.518 0.241
O 0.846 0.311 0.243
O 0.483 0.171 0.244
O 0.642 0.492 0.925
O 0.855 0.357 0.925
O 0.492 0.130 0.922
O 0.638 0.130 0.422
O 0.502 0.357 0.425
O 0.850 0.492 0.425
O 0.355 0.505 0.077
O 0.132 0.644 0.076
O 0.485 0.852 0.074
O 0.366 0.852 0.574
O 0.512 0.644 0.576
O 0.149 0.505 0.577
O 0.309 0.826 0.258
O 0.521 0.690 0.258
O 0.159 0.464 0.255
O 0.305 0.464 0.755
O 0.169 0.690 0.758
O 0.517 0.826 0.758

=====

Entry 4:
A relaxed structure of NaTi3NbSi3S3O24, computed with PBE.

formation energy: -2.75 eV/atom
space group: No. 1

abc: 8.746 8.762 22.643
angles: 89.31 89.59 60.20
Positions (direct):
Na 0.000 0.000 0.000
Na 0.008 0.991 0.502
Na 0.670 0.660 0.162
Ti 0.009 0.015 0.146
Ti 0.022 0.981 0.352
Ti 0.022 0.995 0.651
Ti 0.326 0.356 0.479
Ti 0.337 0.350 0.191
Ti 0.360 0.314 0.975
Ti 0.674 0.672 0.526
Ti 0.689 0.647 0.019
Ti 0.991 0.024 0.859
Nb 0.350 0.333 0.695
Nb 0.673 0.667 0.813
Nb 0.686 0.653 0.310
Si 0.021 0.273 0.251
Si 0.290 0.713 0.248
Si 0.290 0.995 0.754
Si 0.336 0.628 0.584
Si 0.626 0.332 0.084
Si 0.681 0.946 0.919
Si 0.733 0.281 0.751
Si 0.959 0.672 0.420
Si 0.970 0.375 0.919
S 0.007 0.714 0.752
S 0.051 0.331 0.583
S 0.053 0.620 0.084
S 0.344 0.042 0.085
S 0.383 0.665 0.920
S 0.386 0.954 0.419
S 0.627 0.045 0.583
S 0.675 0.373 0.420
S 0.719 0.002 0.251
O 0.030 0.173 0.589
O 0.031 0.160 0.310
O 0.031 0.798 0.092
O 0.041 0.784 0.804
O 0.129 0.360 0.636
O 0.130 0.510 0.139
O 0.150 0.492 0.429
O 0.157 0.359 0.933
O 0.159 0.540 0.032
O 0.159 0.819 0.591
O 0.162 0.533 0.742
O 0.164 0.300 0.530
O 0.166 0.025 0.810
O 0.172 0.799 0.309
O 0.180 0.024 0.091
O 0.185 0.301 0.238
O 0.195 0.838 0.192
O 0.204 0.964 0.694
O 0.207 0.972 0.413
O 0.208 0.821 0.912
O 0.308 0.169 0.737
O 0.309 0.151 0.031
O 0.311 0.523 0.527
O 0.315 0.519 0.242
O 0.365 0.123 0.138
O 0.366 0.506 0.927
O 0.367 0.497 0.640
O 0.369 0.128 0.428
O 0.466 0.694 0.972
O 0.466 0.839 0.472
O 0.485 0.694 0.262
O 0.485 0.827 0.760
O 0.493 0.872 0.366
O 0.494 0.633 0.865
O 0.497 0.864 0.079
O 0.504 0.354 0.142
O 0.507 0.139 0.928
O 0.512 0.641 0.569
O 0.516 0.355 0.428
O 0.518 0.120 0.637
O 0.529 0.304 0.027
O 0.535 0.301 0.742
O 0.542 0.152 0.244
O 0.543 0.153 0.530
O 0.641 0.486 0.365
O 0.643 0.860 0.861
O 0.643 0.867 0.576
O 0.646 0.508 0.078
O 0.698 0.839 0.259
O 0.699 0.477 0.760
O 0.700 0.824 0.977
O 0.701 0.459 0.472
O 0.799 0.024 0.305
O 0.805 0.022 0.590
O 0.808 0.158 0.809
O 0.822 0.154 0.094
O 0.831 0.199 0.412
O 0.831 0.962 0.198
O 0.833 0.691 0.476
O 0.837 0.464 0.976
O 0.840 0.472 0.260
O 0.845 0.184 0.692
O 0.850 0.692 0.756
O 0.857 0.961 0.911
O 0.865 0.638 0.362
O 0.870 0.497 0.861
O 0.873 0.638 0.080
O 0.874 0.488 0.575
O 0.970 0.195 0.194
O 0.979 0.820 0.697
O 0.980 0.845 0.411
O 0.985 0.183 0.913

=====

Calculated values (eV for the cell shown) of VASP energy for the records, taken in order: -809.36; -768.26; -820.13; -786.43.